1.
This record from the Materials Project describes a geometry-optimized Na3SiSe4 structure. The functional is meta-GGA r2SCAN.

## Properties
Theoretical density, g cm⁻³: 3.26
ΔE_f, eV per atom: -1.03
Raw total energy, eV/atom: -10.620

Cell lengths 16.984, 7.296, 13.734 Å; angles 80.99, 90.00, 90.00 degrees
Element x y z (fractional)
Se1 0.181 0.862 0.575
Se2 0.434 0.857 0.628
Se3 0.543 0.405 0.654
Se4 0.734 0.664 0.444
Se5 0.150 0.478 0.281
Se6 0.066 0.857 0.128
Se7 0.234 0.336 0.056
Se8 0.934 0.143 0.872
Se9 0.817 0.943 0.136
Se10 0.266 0.336 0.556
Se11 0.319 0.862 0.075
Se12 0.392 0.198 0.885
Se13 0.683 0.943 0.636
Se14 0.043 0.595 0.846
Se15 0.892 0.802 0.615
Se16 0.108 0.198 0.385
Se17 0.967 0.672 0.366
Se18 0.566 0.143 0.372
Se19 0.957 0.405 0.154
Se20 0.467 0.328 0.134
Se21 0.650 0.522 0.219
Se22 0.457 0.595 0.346
Se23 0.850 0.522 0.719
Se24 0.608 0.802 0.115
Se25 0.819 0.138 0.425
Se26 0.183 0.057 0.864
Se27 0.317 0.057 0.364
Se28 0.350 0.478 0.781
Se29 0.533 0.672 0.866
Se30 0.033 0.328 0.634
Se31 0.766 0.664 0.944
Se32 0.681 0.138 0.925
Na1 0.170 0.704 0.992
Na2 0.934 0.754 0.002
Na3 0.111 0.576 0.479
Na4 0.327 0.425 0.234
Na5 0.700 0.981 0.285
Na6 0.434 0.246 0.498
Na7 0.566 0.754 0.502
Na8 0.389 0.576 0.979
Na9 0.551 0.050 0.782
Na10 0.200 0.019 0.215
Na11 0.300 0.019 0.715
Na12 0.830 0.296 0.008
Na13 0.449 0.950 0.218
Na14 0.066 0.246 0.998
Na15 0.800 0.981 0.785
Na16 0.330 0.704 0.492
Na17 0.051 0.950 0.718
Na18 0.673 0.575 0.766
Na19 0.611 0.424 0.021
Na20 0.827 0.575 0.266
Na21 0.889 0.424 0.521
Na22 0.949 0.050 0.282
Na23 0.173 0.425 0.734
Na24 0.670 0.296 0.508
Si1 0.776 0.886 0.527
Si2 0.526 0.396 0.269
Si3 0.474 0.604 0.731
Si4 0.026 0.604 0.231
Si5 0.276 0.114 0.973
Si6 0.224 0.114 0.473
Si7 0.724 0.886 0.027
Si8 0.974 0.396 0.769

2.
This record from the Materials Project describes a geometry-optimized Zr2TcPd structure. The functional is meta-GGA r2SCAN.

## Properties
Theoretical density, g cm⁻³: 8.90
ΔE_f, eV per atom: -0.56
Raw total energy, eV/atom: -24.168

Cell lengths 4.673, 4.673, 4.673 Å; angles 60.00, 60.00, 60.00 degrees
Element x y z (fractional)
Zr1 0.500 0.500 0.500
Zr2 0.000 0.000 0.000
Pd1 0.250 0.250 0.250
Tc1 0.750 0.750 0.750

3.
This record from the Materials Project describes a geometry-optimized La3Pd4 structure. The functional is meta-GGA r2SCAN.

## Properties
Theoretical density, g cm⁻³: 8.50
ΔE_f, eV per atom: -0.87
Raw total energy, eV/atom: -26.733

Cell lengths 5.809, 8.317, 8.317 Å; angles 114.75, 103.46, 103.46 degrees
Element x y z (fractional)
La1 0.283 0.252 0.876
La2 0.406 0.124 0.376
La3 0.030 0.624 0.748
La4 0.717 0.748 0.124
La5 0.970 0.376 0.252
La6 0.594 0.876 0.624
Pd1 0.000 0.000 0.000
Pd2 0.779 0.340 0.836
Pd3 0.221 0.660 0.164
Pd4 0.500 0.000 0.000
Pd5 0.943 0.164 0.504
Pd6 0.057 0.836 0.496
Pd7 0.561 0.504 0.340
Pd8 0.439 0.496 0.660

4.
This record from the Materials Project describes a geometry-optimized ErCu3Te3 structure. The functional is meta-GGA r2SCAN.

## Properties
Theoretical density, g cm⁻³: 7.39
ΔE_f, eV per atom: -0.63
Raw total energy, eV/atom: -21.015

Cell lengths 6.917, 7.572, 12.719 Å; angles 90.00, 90.00, 90.00 degrees
Element x y z (fractional)
Te1 0.492 0.946 0.000
Te2 0.508 0.433 0.163
Te3 0.980 0.066 0.163
Te4 0.508 0.433 0.837
Te5 0.497 0.448 0.500
Te6 0.980 0.066 0.837
Te7 0.008 0.567 0.337
Te8 0.008 0.567 0.663
Te9 0.992 0.054 0.500
Te10 0.997 0.552 0.000
Te11 0.480 0.934 0.337
Te12 0.480 0.934 0.663
Cu1 0.864 0.882 0.326
Cu2 0.122 0.381 0.826
Cu3 0.622 0.619 0.674
Cu4 0.864 0.882 0.674
Cu5 0.364 0.118 0.174
Cu6 0.122 0.381 0.174
Cu7 0.622 0.619 0.326
Cu8 0.364 0.118 0.826
Cu9 0.870 0.878 0.000
Cu10 0.370 0.122 0.500
Cu11 0.121 0.379 0.500
Cu12 0.621 0.621 0.000
Er1 0.745 0.251 0.662
Er2 0.245 0.749 0.838
Er3 0.745 0.251 0.338
Er4 0.245 0.749 0.162

5.
This record from the Materials Project describes a geometry-optimized Bi structure. The functional is meta-GGA r2SCAN.

## Properties
Theoretical density, g cm⁻³: 9.98
ΔE_f, eV per atom: 0.07
Raw total energy, eV/atom: -58.430
Excess energy over the best structure of this formula in the dataset, meV/atom: 72

Cell lengths 6.550, 4.612, 4.603 Å; angles 90.04, 90.00, 90.00 degrees
Element x y z (fractional)
Bi1 0.750 0.769 0.247
Bi2 0.750 0.264 0.746
Bi3 0.250 0.736 0.254
Bi4 0.250 0.231 0.753

6.
This record from the Materials Project describes a geometry-optimized LiAgF4 structure. The functional is meta-GGA r2SCAN.

## Properties
Theoretical density, g cm⁻³: 4.12
ΔE_f, eV per atom: -1.85
Raw total energy, eV/atom: -7.890
Excess energy over the best structure of this formula in the dataset, meV/atom: 29

Cell lengths 5.058, 5.675, 6.197 Å; angles 59.95, 90.00, 90.00 degrees
Element x y z (fractional)
Ag1 0.000 0.000 0.000
Ag2 0.500 0.000 0.500
F1 0.672 0.158 0.178
F2 0.828 0.158 0.678
F3 0.696 0.659 0.649
F4 0.304 0.341 0.351
F5 0.172 0.842 0.322
F6 0.328 0.842 0.822
F7 0.196 0.341 0.851
F8 0.804 0.659 0.149
Li1 0.500 0.500 0.000
Li2 0.000 0.500 0.500

7.
This record from the Materials Project describes a geometry-optimized LiMg2 structure. The functional is meta-GGA r2SCAN.

## Properties
Theoretical density, g cm⁻³: 1.43
ΔE_f, eV per atom: -0.02
Raw total energy, eV/atom: -3.592

Cell lengths 3.122, 3.122, 15.235 Å; angles 90.00, 90.00, 120.00 degrees
Element x y z (fractional)
Li1 0.667 0.333 0.667
Li2 0.667 0.333 0.333
Mg1 0.000 0.000 0.500
Mg2 0.000 0.000 0.171
Mg3 0.000 0.000 0.829
Mg4 0.667 0.333 0.000

8.
This record from the Materials Project describes a geometry-optimized ErBi12O20 structure. The functional is meta-GGA r2SCAN.

## Properties
Theoretical density, g cm⁻³: 9.47
ΔE_f, eV per atom: -1.45
Raw total energy, eV/atom: -27.369

Cell lengths 8.804, 8.804, 8.804 Å; angles 109.47, 109.47, 109.47 degrees
Element x y z (fractional)
O1 0.648 0.884 0.265
O2 0.000 0.661 0.000
O3 0.735 0.619 0.384
O4 0.244 0.000 0.000
O5 0.384 0.735 0.619
O6 0.265 0.648 0.884
O7 0.000 0.244 0.000
O8 0.236 0.352 0.616
O9 0.339 0.339 0.339
O10 0.661 0.000 0.000
O11 0.000 0.000 0.661
O12 0.756 0.756 0.756
O13 0.764 0.381 0.116
O14 0.116 0.764 0.381
O15 0.884 0.265 0.648
O16 0.381 0.116 0.764
O17 0.616 0.236 0.352
O18 0.352 0.616 0.236
O19 0.000 0.000 0.244
O20 0.619 0.384 0.735
Bi1 0.322 0.177 0.491
Bi2 0.315 0.823 0.145
Bi3 0.823 0.145 0.315
Bi4 0.145 0.315 0.823
Bi5 0.678 0.170 0.855
Bi6 0.492 0.322 0.177
Bi7 0.177 0.491 0.322
Bi8 0.685 0.830 0.509
Bi9 0.830 0.509 0.685
Bi10 0.509 0.685 0.830
Bi11 0.855 0.678 0.170
Bi12 0.170 0.855 0.678
Er1 0.000 0.000 0.000

9.
This record from the Materials Project describes a geometry-optimized Ca2TiSnO6 structure. The functional is meta-GGA r2SCAN.

## Properties
Theoretical density, g cm⁻³: 4.65
ΔE_f, eV per atom: -2.86
Raw total energy, eV/atom: -11.618

Cell lengths 5.575, 5.575, 5.575 Å; angles 60.00, 60.00, 60.00 degrees
Element x y z (fractional)
Ca1 0.750 0.750 0.750
Ca2 0.250 0.250 0.250
Ti1 0.000 0.000 0.000
O1 0.245 0.755 0.755
O2 0.245 0.755 0.245
O3 0.755 0.245 0.755
O4 0.755 0.245 0.245
O5 0.755 0.755 0.245
O6 0.245 0.245 0.755
Sn1 0.500 0.500 0.500

10.
This record from the Materials Project describes a geometry-optimized CaZnAsHO5 structure. The functional is meta-GGA r2SCAN.

## Properties
Theoretical density, g cm⁻³: 4.32
ΔE_f, eV per atom: -1.97
Raw total energy, eV/atom: -9.082

Cell lengths 5.934, 7.489, 9.047 Å; angles 90.00, 90.00, 90.00 degrees
Element x y z (fractional)
H1 0.479 0.492 0.019
H2 0.021 0.508 0.519
H3 0.521 0.992 0.481
H4 0.979 0.008 0.981
Ca1 0.476 0.630 0.327
Ca2 0.524 0.130 0.173
Ca3 0.976 0.870 0.673
Ca4 0.024 0.370 0.827
O1 0.008 0.393 0.572
O2 0.489 0.448 0.557
O3 0.756 0.395 0.290
O4 0.508 0.107 0.428
O5 0.011 0.552 0.057
O6 0.768 0.847 0.233
O7 0.744 0.605 0.790
O8 0.409 0.295 0.939
O9 0.591 0.795 0.561
O10 0.091 0.705 0.439
O11 0.992 0.893 0.928
O12 0.232 0.347 0.267
O13 0.989 0.052 0.443
O14 0.244 0.895 0.210
O15 0.492 0.607 0.072
O16 0.256 0.105 0.710
O17 0.511 0.948 0.943
O18 0.268 0.653 0.767
O19 0.909 0.205 0.061
O20 0.732 0.153 0.733
As1 0.483 0.125 0.824
As2 0.517 0.625 0.676
As3 0.983 0.375 0.176
As4 0.017 0.875 0.324
Zn1 0.258 0.764 0.994
Zn2 0.242 0.236 0.494
Zn3 0.742 0.264 0.506
Zn4 0.758 0.736 0.006

11.
This record from the Materials Project describes a geometry-optimized Eu5Pd2 structure. The functional is meta-GGA r2SCAN.

## Properties
Theoretical density, g cm⁻³: 7.20
ΔE_f, eV per atom: -0.48
Raw total energy, eV/atom: -34.551

Cell lengths 6.820, 7.826, 9.138 Å; angles 96.85, 111.93, 89.96 degrees
Element x y z (fractional)
Eu1 0.640 0.817 0.437
Eu2 0.018 0.079 0.816
Eu3 0.202 0.420 0.184
Eu4 0.580 0.250 0.000
Eu5 0.360 0.183 0.563
Eu6 0.798 0.580 0.816
Eu7 0.203 0.683 0.563
Eu8 0.982 0.921 0.184
Eu9 0.797 0.317 0.437
Eu10 0.420 0.750 0.000
Pd1 0.595 0.921 0.783
Pd2 0.188 0.421 0.783
Pd3 0.405 0.079 0.217
Pd4 0.812 0.579 0.217

12.
This record from the Materials Project describes a geometry-optimized YAgS2 structure. The functional is meta-GGA r2SCAN.

## Properties
Theoretical density, g cm⁻³: 4.76
ΔE_f, eV per atom: -1.55
Raw total energy, eV/atom: -15.980

Cell lengths 7.640, 7.643, 12.472 Å; angles 90.00, 90.00, 90.00 degrees
Element x y z (fractional)
S1 0.758 0.479 0.526
S2 0.050 0.729 0.776
S3 0.804 0.975 0.467
S4 0.503 0.276 0.782
S5 0.055 0.224 0.282
S6 0.258 0.521 0.474
S7 0.800 0.021 0.026
S8 0.304 0.025 0.533
S9 0.550 0.271 0.224
S10 0.754 0.525 0.967
S11 0.300 0.979 0.974
S12 0.555 0.776 0.718
S13 0.003 0.724 0.218
S14 0.008 0.229 0.724
S15 0.254 0.475 0.033
S16 0.508 0.771 0.276
Y1 0.280 0.000 0.753
Y2 0.780 0.000 0.247
Y3 0.778 0.500 0.747
Y4 0.278 0.500 0.253
Y5 0.029 0.749 0.997
Y6 0.529 0.251 0.003
Y7 0.029 0.249 0.503
Y8 0.529 0.751 0.497
Ag1 0.018 0.734 0.439
Ag2 0.791 0.995 0.688
Ag3 0.769 0.503 0.187
Ag4 0.542 0.768 0.939
Ag5 0.269 0.497 0.813
Ag6 0.042 0.232 0.061
Ag7 0.518 0.266 0.561
Ag8 0.291 0.005 0.312